Entry 1:
Tm3Sb4Pd8 | PBE | relaxed

a b c (Å): 9.337 9.337 9.337
angles (deg): 60.00 60.00 60.00
Fractional positions:
Tm 0.724 0.724 0.276
Tm 0.276 0.724 0.724
Tm 0.724 0.276 0.724
Tm 0.724 0.276 0.276
Tm 0.276 0.724 0.276
Tm 0.276 0.276 0.724
Pd 0.881 0.356 0.881
Pd 0.356 0.881 0.881
Pd 0.334 0.998 0.334
Pd 0.334 0.334 0.998
Pd 0.002 0.666 0.666
Pd 0.881 0.881 0.356
Pd 0.119 0.644 0.119
Pd 0.666 0.666 0.666
Pd 0.666 0.002 0.666
Pd 0.998 0.334 0.334
Pd 0.644 0.119 0.119
Pd 0.119 0.119 0.119
Pd 0.334 0.334 0.334
Pd 0.666 0.666 0.002
Pd 0.119 0.119 0.644
Pd 0.881 0.881 0.881
Sb 0.000 0.000 0.500
Sb 0.000 0.500 0.000
Sb 0.500 0.000 0.000
Sb 0.000 0.500 0.500
Sb 0.000 0.000 0.000
Sb 0.500 0.500 0.000
Sb 0.500 0.000 0.500
Sb 0.500 0.500 0.500

- Raw total energy: -5.58 eV per atom
- E_form: -0.82 eV per atom
- M_tot: 0.00 Bohr magnetons per cell
- Symmetry: Fm-3m



Entry 2:
Li2BiP5O15 | PBE | relaxed

a b c (Å): 7.121 7.121 13.408
angles (deg): 88.12 88.12 114.13
Fractional positions:
Li 0.282 0.686 0.223
Li 0.278 0.237 0.096
Li 0.237 0.278 0.596
Li 0.686 0.282 0.723
O 0.824 0.754 0.030
O 0.973 0.492 0.294
O 0.084 0.604 0.043
O 0.163 0.940 0.116
O 0.784 0.332 0.952
O 0.552 0.115 0.277
O 0.243 0.988 0.594
O 0.156 0.919 0.927
O 0.253 0.268 0.761
O 0.115 0.552 0.777
O 0.940 0.163 0.616
O 0.492 0.973 0.794
O 0.604 0.084 0.543
O 0.458 0.509 0.074
O 0.547 0.847 0.968
O 0.988 0.243 0.094
O 0.847 0.547 0.468
O 0.812 0.908 0.823
O 0.849 0.600 0.656
O 0.600 0.849 0.156
O 0.359 0.158 0.430
O 0.604 0.473 0.328
O 0.332 0.784 0.452
O 0.158 0.359 0.930
O 0.509 0.458 0.574
O 0.754 0.824 0.530
O 0.908 0.812 0.323
O 0.268 0.253 0.261
O 0.473 0.604 0.828
O 0.919 0.156 0.427
P 0.441 0.239 0.318
P 0.239 0.441 0.818
P 0.731 0.600 0.564
P 0.847 0.587 0.349
P 0.975 0.372 0.004
P 0.821 0.066 0.528
P 0.587 0.847 0.849
P 0.066 0.821 0.028
P 0.600 0.731 0.064
P 0.372 0.975 0.504
Bi 0.879 0.108 0.260
Bi 0.108 0.879 0.760

- Raw total energy: -6.81 eV per atom
- E_form: -2.52 eV per atom
- M_tot: 0.00 Bohr magnetons per cell
- Symmetry: Cc
- Corrected total energy (MP2020 scheme): -7.257 eV/atom



Entry 3:
TmZr6P9O36 | PBE | relaxed

a b c (Å): 8.942 8.942 22.883
angles (deg): 90.00 90.00 120.00
Fractional positions:
O 0.992 0.824 0.577
O 0.460 0.147 0.136
O 0.205 0.030 0.804
O 0.509 0.884 0.575
O 0.829 0.283 0.025
O 0.546 0.717 0.475
O 0.171 0.717 0.975
O 0.159 0.469 0.760
O 0.375 0.884 0.075
O 0.825 0.795 0.804
O 0.825 0.030 0.304
O 0.540 0.853 0.864
O 0.469 0.159 0.740
O 0.147 0.686 0.864
O 0.686 0.147 0.636
O 0.853 0.540 0.636
O 0.884 0.509 0.925
O 0.454 0.283 0.525
O 0.469 0.309 0.240
O 0.824 0.992 0.923
O 0.795 0.825 0.696
O 0.992 0.168 0.077
O 0.829 0.546 0.525
O 0.824 0.832 0.423
O 0.841 0.531 0.240
O 0.460 0.314 0.636
O 0.175 0.970 0.696
O 0.008 0.832 0.923
O 0.625 0.509 0.425
O 0.491 0.375 0.925
O 0.970 0.795 0.304
O 0.717 0.171 0.525
O 0.283 0.454 0.975
O 0.147 0.460 0.364
O 0.531 0.691 0.760
O 0.717 0.546 0.025
O 0.853 0.314 0.136
O 0.030 0.825 0.196
O 0.283 0.829 0.475
O 0.491 0.116 0.425
O 0.454 0.171 0.025
O 0.531 0.841 0.260
O 0.795 0.970 0.196
O 0.309 0.841 0.760
O 0.168 0.176 0.923
O 0.168 0.992 0.423
O 0.116 0.625 0.575
O 0.509 0.625 0.075
O 0.832 0.008 0.577
O 0.546 0.829 0.975
O 0.205 0.175 0.304
O 0.030 0.205 0.696
O 0.176 0.168 0.577
O 0.884 0.375 0.425
O 0.686 0.540 0.136
O 0.314 0.853 0.364
O 0.116 0.491 0.075
O 0.691 0.531 0.740
O 0.171 0.454 0.475
O 0.625 0.116 0.925
O 0.375 0.491 0.575
O 0.540 0.686 0.364
O 0.309 0.469 0.260
O 0.832 0.824 0.077
O 0.841 0.309 0.740
O 0.176 0.008 0.077
O 0.314 0.460 0.864
O 0.970 0.175 0.804
O 0.175 0.205 0.196
O 0.159 0.691 0.260
O 0.691 0.159 0.240
O 0.008 0.176 0.423
P 0.372 0.054 0.079
P 0.000 0.292 0.750
P 0.708 0.000 0.250
P 0.319 0.372 0.921
P 0.681 0.054 0.579
P 0.054 0.681 0.921
P 0.628 0.681 0.421
P 0.946 0.628 0.579
P 0.946 0.319 0.079
P 0.054 0.372 0.421
P 0.708 0.708 0.750
P 0.000 0.708 0.250
P 0.292 0.000 0.750
P 0.372 0.319 0.579
P 0.681 0.628 0.079
P 0.628 0.946 0.921
P 0.292 0.292 0.250
P 0.319 0.946 0.421
Zr 0.667 0.333 0.972
Zr 0.667 0.333 0.687
Zr 0.667 0.333 0.187
Zr 0.000 0.000 0.851
Zr 0.000 0.000 0.649
Zr 0.000 0.000 0.351
Zr 0.333 0.667 0.028
Zr 0.000 0.000 0.149
Zr 0.667 0.333 0.472
Zr 0.333 0.667 0.813
Zr 0.333 0.667 0.528
Zr 0.333 0.667 0.313
Tm 0.000 0.000 0.000
Tm 0.000 0.000 0.500

- Raw total energy: -8.20 eV per atom
- E_form: -3.24 eV per atom
- M_tot: 0.05 Bohr magnetons per cell
- Symmetry: P-3c1
- Corrected total energy (MP2020 scheme): -8.674 eV/atom



Entry 4:
Sr3MnN3 | PBE | relaxed

a b c (Å): 7.734 7.734 5.269
angles (deg): 90.00 90.00 120.00
Fractional positions:
Mn 0.333 0.667 0.250
Mn 0.667 0.333 0.750
N 0.569 0.689 0.250
N 0.311 0.879 0.250
N 0.121 0.431 0.250
N 0.879 0.569 0.750
N 0.689 0.121 0.750
N 0.431 0.311 0.750
Sr 0.639 0.725 0.750
Sr 0.915 0.639 0.250
Sr 0.085 0.361 0.750
Sr 0.275 0.915 0.750
Sr 0.361 0.275 0.250
Sr 0.725 0.085 0.250

- Raw total energy: -6.32 eV per atom
- E_form: -0.87 eV per atom
- Symmetry: P6_3/m
- Corrected total energy (MP2020 scheme): -6.478 eV/atom



Entry 5:
Hf2Al | PBE | relaxed

a b c (Å): 5.222 5.505 5.505
angles (deg): 77.00 61.69 61.69
Fractional positions:
Al 0.250 0.000 0.000
Al 0.750 0.000 0.000
Hf 0.651 0.198 0.500
Hf 0.151 0.500 0.198
Hf 0.349 0.802 0.500
Hf 0.849 0.500 0.802

- Raw total energy: -8.15 eV per atom
- E_form: -0.26 eV per atom
- Symmetry: I4/mcm



Entry 6:
GdH9C5N2O8 | PBE | relaxed

a b c (Å): 6.807 6.807 6.720
angles (deg): 75.23 75.23 65.68
Fractional positions:
O 0.062 0.587 0.117
O 0.946 0.271 0.736
O 0.205 0.806 0.665
O 0.194 0.795 0.335
O 0.733 0.962 0.878
O 0.413 0.938 0.883
O 0.038 0.267 0.122
O 0.729 0.054 0.264
H 0.210 0.412 0.880
H 0.415 0.145 0.583
H 0.576 0.684 0.533
H 0.579 0.386 0.183
H 0.614 0.421 0.817
H 0.970 0.030 0.500
H 0.588 0.790 0.120
H 0.316 0.424 0.467
H 0.855 0.585 0.417
C 0.580 0.895 0.964
C 0.584 0.236 0.296
C 0.119 0.881 0.500
C 0.764 0.416 0.704
C 0.105 0.420 0.036
N 0.732 0.574 0.540
N 0.426 0.268 0.460
Gd 0.050 0.950 0.000

- Raw total energy: -6.88 eV per atom
- E_form: -1.22 eV per atom
- M_tot: 7.00 Bohr magnetons per cell
- Symmetry: C2
- Corrected total energy (MP2020 scheme): -7.099 eV/atom



Entry 7:
PaBr3O | PBE | relaxed

a b c (Å): 9.280 9.280 10.042
angles (deg): 64.80 64.80 25.12
Fractional positions:
O 0.729 0.729 0.581
O 0.271 0.271 0.419
Br 0.055 0.055 0.654
Br 0.621 0.621 0.914
Br 0.326 0.326 0.738
Br 0.674 0.674 0.262
Br 0.379 0.379 0.086
Br 0.945 0.945 0.346
Pa 0.804 0.804 0.324
Pa 0.196 0.196 0.676

- Raw total energy: -5.97 eV per atom
- E_form: -2.23 eV per atom
- Symmetry: C2/m
- Corrected total energy (MP2020 scheme): -6.102 eV/atom



Entry 8:
RbInO3 | PBE | relaxed

a b c (Å): 4.355 4.355 4.355
angles (deg): 90.00 90.00 90.00
Fractional positions:
O 0.000 0.500 0.500
O 0.500 0.500 0.000
O 0.500 0.000 0.500
Rb 0.000 0.000 0.000
In 0.500 0.500 0.500

- Raw total energy: -4.56 eV per atom
- E_form: -1.25 eV per atom
- M_tot: 2.00 Bohr magnetons per cell
- Symmetry: Pm-3m
- Corrected total energy (MP2020 scheme): -4.968 eV/atom



Entry 9:
K2YNb5O15 | PBE | relaxed

a b c (Å): 9.352 9.352 3.975
angles (deg): 90.00 90.00 111.89
Fractional positions:
O 0.273 0.458 0.500
O 0.458 0.273 0.500
O 0.839 0.161 0.500
O 0.279 0.048 0.000
O 0.161 0.839 0.500
O 0.000 0.500 0.500
O 0.500 0.000 0.500
O 0.727 0.542 0.500
O 0.048 0.279 0.000
O 0.873 0.873 0.500
O 0.721 0.952 0.000
O 0.500 0.500 0.000
O 0.127 0.127 0.500
O 0.542 0.727 0.500
O 0.952 0.721 0.000
Y 0.000 0.000 0.000
K 0.298 0.702 0.000
K 0.702 0.298 0.000
Nb 0.682 0.941 0.500
Nb 0.059 0.318 0.500
Nb 0.500 0.500 0.500
Nb 0.318 0.059 0.500
Nb 0.941 0.682 0.500

- Raw total energy: -8.44 eV per atom
- E_form: -3.08 eV per atom
- M_tot: 0.00 Bohr magnetons per cell
- Symmetry: Cmmm
- Corrected total energy (MP2020 scheme): -8.884 eV/atom



Entry 10:
KLaEuSbO6 | PBE | relaxed

a b c (Å): 5.977 5.977 5.977
angles (deg): 60.00 60.00 60.00
Fractional positions:
O 0.735 0.265 0.265
O 0.265 0.265 0.735
O 0.265 0.735 0.265
O 0.735 0.265 0.735
O 0.265 0.735 0.735
O 0.735 0.735 0.265
K 0.250 0.250 0.250
Sb 0.500 0.500 0.500
Eu 0.000 0.000 0.000
La 0.750 0.750 0.750

- E above lowest polymorph: 0.082 eV/atom
- Raw total energy: -7.23 eV per atom
- E_form: -2.63 eV per atom
- M_tot: 6.00 Bohr magnetons per cell
- Symmetry: F-43m
- Corrected total energy (MP2020 scheme): -7.644 eV/atom



Entry 11:
NaTlSe2 | PBE | relaxed

a b c (Å): 6.584 6.584 6.584
angles (deg): 106.65 106.65 115.26
Fractional positions:
Se 0.187 0.687 0.873
Se 0.313 0.187 0.500
Se 0.687 0.813 0.500
Se 0.813 0.313 0.127
Na 0.750 0.750 0.000
Na 0.250 0.250 0.000
Tl 0.250 0.750 0.500
Tl 0.750 0.250 0.500

- Raw total energy: -3.19 eV per atom
- E_form: -0.76 eV per atom
- M_tot: 0.00 Bohr magnetons per cell
- Symmetry: I4/mcm
- Corrected total energy (MP2020 scheme): -3.428 eV/atom



Entry 12:
SrInCu3Se4 | PBE | relaxed

a b c (Å): 6.219 6.219 6.219
angles (deg): 90.00 90.00 90.00
Fractional positions:
Se 0.765 0.235 0.765
Se 0.765 0.765 0.235
Se 0.235 0.765 0.765
Se 0.235 0.235 0.235
Cu 0.000 0.000 0.500
Cu 0.500 0.000 0.000
Cu 0.000 0.500 0.000
In 0.000 0.000 0.000
Sr 0.500 0.500 0.500

- Raw total energy: -3.82 eV per atom
- E_form: -0.62 eV per atom
- M_tot: 0.00 Bohr magnetons per cell
- Symmetry: P-43m
- Corrected total energy (MP2020 scheme): -4.031 eV/atom



Entry 13:
LiCuPO4 | PBE | relaxed

a b c (Å): 5.049 6.152 9.493
angles (deg): 90.00 90.00 90.00
Fractional positions:
Cu 0.951 0.750 0.655
Cu 0.549 0.750 0.155
Cu 0.049 0.250 0.345
Cu 0.451 0.250 0.845
P 0.051 0.750 0.310
P 0.551 0.250 0.190
P 0.449 0.750 0.810
P 0.949 0.250 0.690
O 0.255 0.250 0.667
O 0.831 0.047 0.615
O 0.872 0.250 0.849
O 0.669 0.047 0.115
O 0.745 0.750 0.333
O 0.128 0.750 0.151
O 0.372 0.750 0.651
O 0.169 0.953 0.385
O 0.245 0.250 0.167
O 0.628 0.250 0.349
O 0.831 0.453 0.615
O 0.669 0.453 0.115
O 0.755 0.750 0.833
O 0.331 0.547 0.885
O 0.331 0.953 0.885
O 0.169 0.547 0.385
Li 0.000 0.000 0.000
Li 0.500 0.000 0.500
Li 0.000 0.500 0.000
Li 0.500 0.500 0.500

- E above lowest polymorph: 0.053 eV/atom
- Raw total energy: -6.21 eV per atom
- E_form: -2.14 eV per atom
- M_tot: 4.00 Bohr magnetons per cell
- Symmetry: Pnma
- Corrected total energy (MP2020 scheme): -6.603 eV/atom



Entry 14:
As3W | PBE | relaxed

a b c (Å): 6.062 6.062 4.613
angles (deg): 90.00 90.00 120.00
Fractional positions:
W 0.333 0.667 0.750
W 0.667 0.333 0.250
As 0.626 0.813 0.250
As 0.813 0.187 0.750
As 0.187 0.813 0.250
As 0.813 0.626 0.750
As 0.187 0.374 0.250
As 0.374 0.187 0.750

- Raw total energy: -6.12 eV per atom
- E_form: 0.61 eV per atom
- M_tot: 0.00 Bohr magnetons per cell
- Symmetry: P6_3/mmc